# Li4MnCo2O7 | Materials Project | PBE+U | optimized geometry
# Final energy = -5.740 eV per atom
# Polymorph energy (0 for the lowest one) = 137 meV per atom
# DFT formation energy = -1.747 eV/atom
data_Li4MnCo2O7
_cell_length_a 5.134
_cell_length_b 6.496
_cell_length_c 7.734
_cell_angle_alpha 86.86
_cell_angle_beta 75.75
_cell_angle_gamma 83.99
_symmetry_space_group_name_H-M 'P 1'
_symmetry_Int_Tables_number 1
loop_
_symmetry_equiv_pos_as_xyz
'x,y,z'
loop_
_atom_site_label
_atom_site_type_symbol
_atom_site_fract_x
_atom_site_fract_y
_atom_site_fract_z
Li1 Li 0.000 0.000 0.000
Li2 Li 0.070 0.860 0.350
Li3 Li 0.201 0.586 0.064
Li4 Li 0.347 0.286 0.794
Li5 Li 0.498 0.995 0.500
Li6 Li 0.648 0.729 0.208
Li7 Li 0.793 0.424 0.927
Li8 Li 0.926 0.140 0.653
Mn1 Mn 0.284 0.435 0.430
Mn2 Mn 0.855 0.286 0.282
Co1 Co 0.139 0.721 0.717
Co2 Co 0.417 0.140 0.140
Co3 Co 0.569 0.869 0.865
Co4 Co 0.711 0.575 0.572
O1 O 0.056 0.444 0.673
O2 O 0.105 0.289 0.054
O3 O 0.168 0.166 0.374
O4 O 0.248 0.976 0.744
O5 O 0.335 0.861 0.107
O6 O 0.366 0.707 0.478
O7 O 0.454 0.595 0.800
O8 O 0.551 0.417 0.196
O9 O 0.632 0.299 0.529
O10 O 0.648 0.138 0.904
O11 O 0.741 0.026 0.253
O12 O 0.835 0.833 0.618
O13 O 0.898 0.716 0.938
O14 O 0.935 0.564 0.332

***

# Li3MnCoO5 | Materials Project | PBE+U | optimized geometry
# Final energy = -5.772 eV per atom
# Polymorph energy (0 for the lowest one) = 188 meV per atom
# DFT formation energy = -1.772 eV/atom
data_Li3MnCoO5
_cell_length_a 2.9517
_cell_length_b 2.9517
_cell_length_c 73.6992
_cell_angle_alpha 90.00
_cell_angle_beta 90.00
_cell_angle_gamma 120.00
_symmetry_space_group_name_H-M 'R 3 m'
_symmetry_Int_Tables_number 160
_symmetry_space_group_name_Hall 'R 3 -2"'
loop_
_atom_site_label
_atom_site_type_symbol
_atom_site_fract_x
_atom_site_fract_y
_atom_site_fract_z
Li1 Li 0.0000 0.0000 0.0000
Li2 Li 0.0000 0.0000 0.1000
Li3 Li 0.0000 0.0000 0.1999
Li4 Li 0.0000 0.0000 0.4031
Li5 Li 0.0000 0.0000 0.5987
Li6 Li 0.0000 0.0000 0.7989
Mn1 Mn 0.0000 0.0000 0.3001
Mn2 Mn 0.0000 0.0000 0.7001
Co1 Co 0.0000 0.0000 0.5004
Co2 Co 0.0000 0.0000 0.8998
O1 O 0.0000 0.0000 0.0473
O2 O 0.0000 0.0000 0.1538
O3 O 0.0000 0.0000 0.2480
O4 O 0.0000 0.0000 0.3514
O5 O 0.0000 0.0000 0.4511
O6 O 0.0000 0.0000 0.5519
O7 O 0.0000 0.0000 0.6489
O8 O 0.0000 0.0000 0.7496
O9 O 0.0000 0.0000 0.8484
O10 O 0.0000 0.0000 0.9516

***

# Li4Mn3CoO8 | Materials Project | PBE+U | optimized geometry
# Final energy = -6.379 eV per atom
# Polymorph energy (0 for the lowest one) = 4 meV per atom
# DFT formation energy = -2.024 eV/atom
data_Li4Mn3CoO8
_cell_length_a 5.058
_cell_length_b 5.367
_cell_length_c 6.148
_cell_angle_alpha 69.16
_cell_angle_beta 86.34
_cell_angle_gamma 76.82
_symmetry_space_group_name_H-M 'P -1'
_symmetry_Int_Tables_number 2
loop_
_symmetry_equiv_pos_as_xyz
'x,y,z'
'-x,-y,-z'
loop_
_atom_site_label
_atom_site_type_symbol
_atom_site_fract_x
_atom_site_fract_y
_atom_site_fract_z
Li1 Li 0.246 0.498 0.374
Li2 Li 0.248 0.507 0.882
Mn1 Mn 0.000 0.000 0.000
Mn2 Mn 0.497 0.005 0.249
Co1 Co 0.000 0.000 0.500
O1 O 0.132 0.220 0.695
O2 O 0.141 0.240 0.194
O3 O 0.360 0.773 0.543
O4 O 0.365 0.769 0.047

***

# Li4MnCo2O7 | Materials Project | PBE+U | optimized geometry
# Final energy = -5.853 eV per atom
# Polymorph energy (0 for the lowest one) = 24 meV per atom
# DFT formation energy = -1.860 eV/atom
data_Li4MnCo2O7
_cell_length_a 5.920
_cell_length_b 6.545
_cell_length_c 7.733
_cell_angle_alpha 104.06
_cell_angle_beta 111.63
_cell_angle_gamma 104.09
_symmetry_space_group_name_H-M 'P 1'
_symmetry_Int_Tables_number 1
loop_
_symmetry_equiv_pos_as_xyz
'x,y,z'
loop_
_atom_site_label
_atom_site_type_symbol
_atom_site_fract_x
_atom_site_fract_y
_atom_site_fract_z
Li1 Li 0.000 0.000 0.000
Li2 Li 0.068 0.583 0.859
Li3 Li 0.210 0.711 0.572
Li4 Li 0.349 0.858 0.278
Li5 Li 0.487 0.001 0.994
Li6 Li 0.653 0.145 0.723
Li7 Li 0.778 0.285 0.427
Li8 Li 0.923 0.425 0.136
Mn1 Mn 0.278 0.281 0.424
Mn2 Mn 0.853 0.859 0.282
Co1 Co 0.136 0.138 0.719
Co2 Co 0.406 0.419 0.133
Co3 Co 0.577 0.576 0.861
Co4 Co 0.709 0.718 0.576
O1 O 0.056 0.302 0.932
O2 O 0.097 0.868 0.773
O3 O 0.187 0.408 0.635
O4 O 0.223 0.005 0.482
O5 O 0.318 0.550 0.360
O6 O 0.388 0.165 0.228
O7 O 0.490 0.725 0.083
O8 O 0.525 0.295 0.924
O9 O 0.604 0.835 0.772
O10 O 0.647 0.422 0.629
O11 O 0.760 0.990 0.493
O12 O 0.799 0.592 0.354
O13 O 0.912 0.137 0.230
O14 O 0.943 0.720 0.081

***

# Li7Mn2Co3O12 | Materials Project | PBE+U | optimized geometry
# Final energy = -5.864 eV per atom
# Polymorph energy (0 for the lowest one) = 65 meV per atom
# DFT formation energy = -1.868 eV/atom
data_Li7Mn2Co3O12
_cell_length_a 5.149
_cell_length_b 2.905
_cell_length_c 14.560
_cell_angle_alpha 90.00
_cell_angle_beta 90.05
_cell_angle_gamma 90.00
_symmetry_space_group_name_H-M 'P 1 m 1'
_symmetry_Int_Tables_number 6
loop_
_symmetry_equiv_pos_as_xyz
'x,y,z'
'x,-y,z'
loop_
_atom_site_label
_atom_site_type_symbol
_atom_site_fract_x
_atom_site_fract_y
_atom_site_fract_z
Li1 Li 0.000 0.000 0.000
Li2 Li 0.001 0.000 0.506
Li3 Li 0.140 0.500 0.148
Li4 Li 0.343 0.000 0.840
Li5 Li 0.501 0.500 0.507
Li6 Li 0.662 0.000 0.159
Li7 Li 0.859 0.500 0.845
Mn1 Mn 0.502 0.500 0.001
Mn2 Mn 0.832 0.500 0.335
Co1 Co 0.171 0.500 0.669
Co2 Co 0.332 0.000 0.334
Co3 Co 0.671 0.000 0.669
O1 O 0.013 0.000 0.744
O2 O 0.154 0.500 0.407
O3 O 0.200 0.500 0.923
O4 O 0.330 0.000 0.590
O5 O 0.348 0.000 0.076
O6 O 0.511 0.500 0.265
O7 O 0.514 0.500 0.743
O8 O 0.653 0.000 0.928
O9 O 0.694 0.000 0.411
O10 O 0.804 0.500 0.079
O11 O 0.831 0.500 0.591
O12 O 0.971 0.000 0.259

***

# Li7Mn2Co3O12 | Materials Project | PBE+U | optimized geometry
# Final energy = -5.897 eV per atom
# Polymorph energy (0 for the lowest one) = 32 meV per atom
# DFT formation energy = -1.901 eV/atom
data_Li7Mn2Co3O12
_cell_length_a 5.155
_cell_length_b 5.788
_cell_length_c 7.682
_cell_angle_alpha 79.52
_cell_angle_beta 71.42
_cell_angle_gamma 89.97
_symmetry_space_group_name_H-M 'P 1'
_symmetry_Int_Tables_number 1
loop_
_symmetry_equiv_pos_as_xyz
'x,y,z'
loop_
_atom_site_label
_atom_site_type_symbol
_atom_site_fract_x
_atom_site_fract_y
_atom_site_fract_z
Li1 Li 0.000 0.000 0.000
Li2 Li 0.002 0.508 0.995
Li3 Li 0.333 0.830 0.669
Li4 Li 0.342 0.335 0.668
Li5 Li 0.676 0.164 0.340
Li6 Li 0.679 0.663 0.347
Li7 Li 0.843 0.583 0.670
Mn1 Mn 0.179 0.414 0.340
Mn2 Mn 0.500 0.249 0.999
Co1 Co 0.162 0.907 0.350
Co2 Co 0.505 0.750 0.993
Co3 Co 0.847 0.084 0.669
O1 O 0.093 0.689 0.186
O2 O 0.117 0.215 0.172
O3 O 0.270 0.616 0.487
O4 O 0.272 0.138 0.489
O5 O 0.411 0.051 0.849
O6 O 0.419 0.536 0.852
O7 O 0.561 0.962 0.158
O8 O 0.566 0.448 0.163
O9 O 0.791 0.890 0.500
O10 O 0.807 0.360 0.499
O11 O 0.874 0.278 0.845
O12 O 0.896 0.813 0.831

***

# Li7Mn4CoO12 | Materials Project | PBE+U | optimized geometry
# Final energy = -6.239 eV per atom
# Polymorph energy (0 for the lowest one) = 10 meV per atom
# DFT formation energy = -2.074 eV/atom
data_Li7Mn4CoO12
_cell_length_a 5.181
_cell_length_b 6.477
_cell_length_c 6.511
_cell_angle_alpha 82.92
_cell_angle_beta 83.65
_cell_angle_gamma 83.80
_symmetry_space_group_name_H-M 'P -1'
_symmetry_Int_Tables_number 2
loop_
_symmetry_equiv_pos_as_xyz
'x,y,z'
'-x,-y,-z'
loop_
_atom_site_label
_atom_site_type_symbol
_atom_site_fract_x
_atom_site_fract_y
_atom_site_fract_z
Li1 Li 0.000 0.000 0.000
Li2 Li 0.253 0.241 0.238
Li3 Li 0.258 0.584 0.909
Li4 Li 0.258 0.911 0.582
Mn1 Mn 0.000 0.330 0.670
Mn2 Mn 0.500 0.167 0.833
Co1 Co 0.500 0.500 0.500
O1 O 0.143 0.607 0.606
O2 O 0.151 0.285 0.935
O3 O 0.151 0.936 0.284
O4 O 0.394 0.217 0.552
O5 O 0.394 0.550 0.218
O6 O 0.396 0.885 0.886

***

# Li7Mn4CoO12 | Materials Project | PBE+U | optimized geometry
# Final energy = -6.179 eV per atom
# Polymorph energy (0 for the lowest one) = 69 meV per atom
# DFT formation energy = -2.015 eV/atom
data_Li7Mn4CoO12
_cell_length_a 3.005
_cell_length_b 6.034
_cell_length_c 12.562
_cell_angle_alpha 76.46
_cell_angle_beta 88.00
_cell_angle_gamma 85.50
_symmetry_space_group_name_H-M 'P 1'
_symmetry_Int_Tables_number 1
loop_
_symmetry_equiv_pos_as_xyz
'x,y,z'
loop_
_atom_site_label
_atom_site_type_symbol
_atom_site_fract_x
_atom_site_fract_y
_atom_site_fract_z
Li1 Li 0.000 0.000 0.000
Li2 Li 0.002 0.322 0.341
Li3 Li 0.006 0.643 0.683
Li4 Li 0.497 0.813 0.835
Li5 Li 0.505 0.486 0.512
Li6 Li 0.507 0.159 0.175
Li7 Li 0.514 0.337 0.836
Mn1 Mn 0.000 0.484 0.000
Mn2 Mn 0.003 0.824 0.342
Mn3 Mn 0.495 0.651 0.174
Mn4 Mn 0.506 0.991 0.513
Co1 Co 0.011 0.163 0.683
O1 O 0.002 0.077 0.826
O2 O 0.008 0.569 0.852
O3 O 0.032 0.226 0.523
O4 O 0.034 0.895 0.178
O5 O 0.470 0.581 0.335
O6 O 0.474 0.707 0.011
O7 O 0.479 0.921 0.670
O8 O 0.529 0.272 0.006
O9 O 0.532 0.384 0.675
O10 O 0.537 0.066 0.349
O11 O 0.968 0.418 0.166
O12 O 0.975 0.751 0.502